[1]
! Nd3Tm2Ga3O12, optimized geometry, DFT GGA-PBE; values from VASP
&SYSTEM
  ibrav = 0, nat = 80, ntyp = 4
/
ATOMIC_SPECIES
Nd 144.24 Nd.upf
Tm 168.93 Tm.upf
Ga 69.72 Ga.upf
O 16.00 O.upf
ATOMIC_POSITIONS angstrom
Nd 1.628 0.000 3.256
Nd 4.885 6.513 3.256
Nd -1.628 6.513 3.256
Nd 3.256 1.628 0.000
Nd 3.256 -1.628 6.513
Nd 8.141 0.000 3.256
Nd 3.256 4.885 6.513
Nd 3.256 8.141 0.000
Nd 0.000 3.256 1.628
Nd 6.513 3.256 4.885
Nd 6.513 3.256 -1.628
Nd 0.000 3.256 8.141
Tm 0.000 0.000 0.000
Tm 0.000 6.513 0.000
Tm 6.513 0.000 0.000
Tm -3.256 3.256 3.256
Tm 0.000 0.000 6.513
Tm 3.256 3.256 3.256
Tm 3.256 3.256 -3.256
Tm 3.256 -3.256 3.256
Ga 4.885 0.000 3.256
Ga 1.628 6.513 3.256
Ga 1.628 0.000 9.769
Ga 3.256 4.885 0.000
Ga 3.256 1.628 6.513
Ga 4.885 6.513 -3.256
Ga 9.769 1.628 0.000
Ga -3.256 4.885 6.513
Ga 0.000 3.256 4.885
Ga 6.513 3.256 1.628
Ga 0.000 9.769 1.628
Ga 6.513 -3.256 4.885
O 1.207 2.504 3.649
O 5.306 4.008 2.864
O -1.207 4.008 3.649
O -1.207 9.017 2.864
O 3.649 1.207 2.504
O 5.761 -2.050 6.120
O 7.720 2.504 2.864
O 7.720 -2.504 3.649
O 2.864 5.306 4.008
O 0.752 8.563 0.392
O 7.720 4.008 -3.649
O 3.649 -1.207 4.008
O 0.752 2.050 -0.392
O -1.207 2.505 10.162
O 2.864 7.720 2.504
O 5.761 4.463 6.905
O 2.864 -1.207 9.017
O 5.761 2.050 0.392
O 3.649 7.720 -2.504
O 0.752 4.463 6.120
O -3.649 7.720 4.008
O 7.265 4.463 0.392
O 10.162 -1.207 2.505
O -0.752 2.050 6.120
O 2.504 3.649 1.207
O 4.463 0.392 7.265
O 4.008 2.864 5.306
O 2.050 6.120 -0.752
O 9.017 2.864 -1.207
O 2.050 -0.392 0.752
O -2.504 3.649 7.720
O 4.463 6.905 5.761
O 4.008 -3.649 7.720
O -2.050 6.120 5.761
O 2.505 10.162 -1.207
O 8.563 0.392 0.752
O 4.008 3.649 -1.207
O 2.050 0.392 5.761
O 2.504 2.864 7.720
O 4.463 6.120 0.752
O 6.120 5.761 -2.050
O 0.392 0.752 8.563
O -0.392 0.752 2.050
O 6.905 5.761 4.463
O 0.392 7.265 4.463
O 6.120 -0.752 2.050
O 0.392 5.761 2.050
O 6.120 0.752 4.463
CELL_PARAMETERS angstrom
-6.513 6.513 6.513
6.513 -6.513 6.513
6.513 6.513 -6.513
! **Total DFT energy (no corrections)**: -7.5374 eV per atom
! **Energy of formation**: -3364 meV per atom
! **Symmetry**: No. 230

=====

[2]
! NdGa4Os, optimized geometry, DFT GGA-PBE; values from VASP
&SYSTEM
  ibrav = 0, nat = 36, ntyp = 3
/
ATOMIC_SPECIES
Nd 144.24 Nd.upf
Ga 69.72 Ga.upf
Os 190.23 Os.upf
ATOMIC_POSITIONS angstrom
Nd 2.469 4.416 7.314
Nd 5.228 4.416 2.438
Nd 6.456 2.200 7.314
Nd 1.240 6.633 2.438
Nd 6.456 6.633 7.314
Nd 1.240 2.200 2.438
Ga 1.373 2.091 5.611
Ga 6.323 6.742 4.140
Ga 1.373 6.742 9.016
Ga 6.323 2.091 4.140
Ga 6.323 2.091 0.736
Ga 1.373 6.742 5.611
Ga 6.323 6.742 0.736
Ga 1.373 2.091 9.016
Ga 1.001 0.000 7.314
Ga 6.695 0.000 2.438
Ga 2.602 0.000 0.597
Ga 5.094 0.000 9.154
Ga 2.602 0.000 4.278
Ga 5.094 0.000 5.473
Ga 3.484 1.381 7.314
Ga 4.213 7.452 2.438
Ga 3.484 7.452 7.314
Ga 4.213 1.381 2.438
Ga 5.055 4.416 5.709
Ga 2.642 4.416 4.042
Ga 5.055 4.416 8.918
Ga 2.642 4.416 0.834
Ga 0.000 4.416 4.876
Ga 0.000 4.416 0.000
Os 3.848 2.289 4.876
Os 3.848 6.544 4.876
Os 3.848 6.544 0.000
Os 3.848 2.289 0.000
Os 0.000 0.000 4.876
Os 0.000 0.000 0.000
CELL_PARAMETERS angstrom
7.697 0.000 0.000
0.000 8.833 0.000
0.000 0.000 9.751
! **Total DFT energy (no corrections)**: -5.1511 eV per atom
! **Energy of formation**: -466 meV per atom
! **Symmetry**: No. 51

=====

[3]
! NdGaPd2, optimized geometry, DFT GGA-PBE; values from VASP
&SYSTEM
  ibrav = 0, nat = 16, ntyp = 3
/
ATOMIC_SPECIES
Nd 144.24 Nd.upf
Ga 69.72 Ga.upf
Pd 106.42 Pd.upf
ATOMIC_POSITIONS angstrom
Nd -0.264 -5.216 -2.374
Nd 1.338 -6.564 0.991
Nd -2.020 -6.055 5.511
Nd -3.623 -4.707 2.146
Ga -1.556 -6.987 -0.105
Ga -2.118 -9.088 3.204
Ga -0.728 -4.284 3.242
Ga -0.167 -2.183 -0.067
Pd -3.610 -5.617 -0.825
Pd -0.479 -9.059 1.221
Pd 0.479 -3.323 5.300
Pd -0.958 -4.544 0.579
Pd 1.326 -5.655 3.962
Pd -1.805 -2.212 1.916
Pd -2.763 -7.948 -2.163
Pd -1.326 -6.728 2.558
CELL_PARAMETERS angstrom
-5.460 -1.900 -0.144
2.149 -5.916 -3.393
1.027 -3.454 6.674
! **Total DFT energy (no corrections)**: -5.3972 eV per atom
! **Energy of formation**: -858 meV per atom
! **Symmetry**: No. 62

=====

[4]
! NdGaPd, optimized geometry, DFT GGA-PBE; values from VASP
&SYSTEM
  ibrav = 0, nat = 12, ntyp = 3
/
ATOMIC_SPECIES
Nd 144.24 Nd.upf
Ga 69.72 Ga.upf
Pd 106.42 Pd.upf
ATOMIC_POSITIONS angstrom
Nd -1.271 2.275 4.988
Nd -4.421 0.684 5.969
Nd -7.924 -0.128 1.699
Nd -4.773 1.463 0.718
Ga -1.655 0.467 0.293
Ga -5.004 -0.613 3.163
Ga -7.540 1.680 6.394
Ga -4.190 2.760 3.524
Pd -2.599 0.736 2.811
Pd -5.424 -1.688 0.719
Pd -6.595 1.411 3.875
Pd -3.770 3.835 5.968
CELL_PARAMETERS angstrom
-2.263 3.713 -1.245
-6.128 -3.624 0.334
-0.803 2.058 7.597
! **Total DFT energy (no corrections)**: -5.1650 eV per atom
! **Energy of formation**: -840 meV per atom
! **Symmetry**: No. 62

=====

[5]
! Nd2Ga7Pd, optimized geometry, DFT GGA-PBE; values from VASP
&SYSTEM
  ibrav = 0, nat = 10, ntyp = 3
/
ATOMIC_SPECIES
Nd 144.24 Nd.upf
Ga 69.72 Ga.upf
Pd 106.42 Pd.upf
ATOMIC_POSITIONS angstrom
Nd 2.155 0.000 7.999
Nd 0.000 2.155 2.647
Ga 0.000 2.155 9.248
Ga 2.155 0.000 3.871
Ga 2.155 0.000 1.398
Ga 0.000 2.155 6.775
Ga 0.000 0.000 5.323
Ga 0.000 0.000 0.000
Ga 2.155 2.155 5.323
Pd 2.155 2.155 0.000
CELL_PARAMETERS angstrom
4.311 0.000 0.000
0.000 4.311 0.000
0.000 0.000 10.646
! **Total DFT energy (no corrections)**: -4.1605 eV per atom
! **Energy of formation**: -569 meV per atom
! **Symmetry**: No. 115

=====

[6]
! Nd2Ga12Pd, optimized geometry, DFT GGA-PBE; values from VASP
&SYSTEM
  ibrav = 0, nat = 30, ntyp = 3
/
ATOMIC_SPECIES
Nd 144.24 Nd.upf
Ga 69.72 Ga.upf
Pd 106.42 Pd.upf
ATOMIC_POSITIONS angstrom
Nd 1.805 -5.348 2.585
Nd -0.142 -6.088 -1.205
Nd 5.788 -10.858 -3.318
Nd 7.735 -10.118 0.472
Ga 1.141 -3.442 0.087
Ga -0.950 -6.809 1.818
Ga 6.452 -12.764 -0.820
Ga 8.543 -9.397 -2.551
Ga 2.985 -4.925 -0.570
Ga 0.893 -8.292 1.161
Ga 4.609 -11.281 -0.163
Ga 6.700 -7.914 -1.894
Ga 10.664 -9.955 -1.064
Ga 6.702 -12.745 -5.882
Ga 8.645 -12.006 -2.099
Ga 8.577 -13.315 0.664
Ga -3.071 -6.251 0.331
Ga 0.891 -3.461 5.149
Ga -1.052 -4.200 1.366
Ga -0.984 -2.891 -1.397
Ga 4.664 -5.879 1.221
Ga 1.303 -8.059 -3.291
Ga 2.667 -7.540 -0.635
Ga 3.199 -8.238 2.434
Ga 2.929 -10.327 -1.954
Ga 6.290 -8.148 2.558
Ga 4.926 -8.667 -0.098
Ga 4.394 -7.968 -3.167
Pd -1.118 -2.996 3.627
Pd -3.065 -3.737 -0.164
CELL_PARAMETERS angstrom
-0.144 -2.626 5.522
-4.038 -4.107 -2.059
11.775 -9.473 -4.197
! **Total DFT energy (no corrections)**: -3.8236 eV per atom
! **Energy of formation**: -420 meV per atom
! **Symmetry**: No. 125

=====

[7]
! PmNdGa2, optimized geometry, DFT GGA-PBE; values from VASP
&SYSTEM
  ibrav = 0, nat = 4, ntyp = 3
/
ATOMIC_SPECIES
Pm 145.00 Pm.upf
Nd 144.24 Nd.upf
Ga 69.72 Ga.upf
ATOMIC_POSITIONS angstrom
Pm 0.000 0.000 0.000
Nd 3.689 3.689 3.689
Ga 1.845 1.845 1.845
Ga 5.534 5.534 5.534
CELL_PARAMETERS angstrom
0.000 3.689 3.689
3.689 0.000 3.689
3.689 3.689 0.000
! **Total DFT energy (no corrections)**: -4.4528 eV per atom
! **Energy of formation**: -559 meV per atom
! **Symmetry**: No. 225

=====

[8]
! NdGa2Pt3, optimized geometry, DFT GGA-PBE; values from VASP
&SYSTEM
  ibrav = 0, nat = 6, ntyp = 3
/
ATOMIC_SPECIES
Nd 144.24 Nd.upf
Ga 69.72 Ga.upf
Pt 195.08 Pt.upf
ATOMIC_POSITIONS angstrom
Nd 0.000 0.000 0.000
Ga -1.762 -2.178 -1.630
Ga 1.462 -2.480 -1.489
Pt -0.329 -3.448 0.130
Pt -2.672 -2.057 0.804
Pt 2.164 -2.510 1.015
CELL_PARAMETERS angstrom
-4.986 -1.876 -1.770
4.685 -2.782 -1.348
-0.358 -2.239 3.378
! **Total DFT energy (no corrections)**: -5.7306 eV per atom
! **Energy of formation**: -891 meV per atom
! **Symmetry**: No. 191

=====

[9]
! NdGa3Pt, optimized geometry, DFT GGA-PBE; values from VASP
&SYSTEM
  ibrav = 0, nat = 5, ntyp = 3
/
ATOMIC_SPECIES
Nd 144.24 Nd.upf
Ga 69.72 Ga.upf
Pt 195.08 Pt.upf
ATOMIC_POSITIONS angstrom
Nd 0.000 0.000 0.000
Ga 0.000 0.000 6.667
Ga 0.000 0.000 4.177
Ga 0.000 2.107 2.711
Pt 2.107 0.000 2.711
CELL_PARAMETERS angstrom
-2.107 2.107 5.422
2.107 -2.107 5.422
2.107 2.107 -5.422
! **Total DFT energy (no corrections)**: -4.7089 eV per atom
! **Energy of formation**: -724 meV per atom
! **Symmetry**: No. 119

=====

[10]
! Nd2Ga9Ru3, optimized geometry, DFT GGA-PBE; values from VASP
&SYSTEM
  ibrav = 0, nat = 28, ntyp = 3
/
ATOMIC_SPECIES
Nd 144.24 Nd.upf
Ga 69.72 Ga.upf
Ru 101.07 Ru.upf
ATOMIC_POSITIONS angstrom
Nd 6.376 -2.131 2.473
Nd 1.279 2.131 7.420
Nd 6.376 2.131 2.473
Nd 1.279 -2.131 7.420
Ga 0.982 0.000 2.473
Ga 6.673 0.000 7.420
Ga 1.313 2.135 0.725
Ga 6.343 -2.135 9.168
Ga 6.343 -2.135 5.671
Ga 1.313 -2.135 4.222
Ga 1.313 2.135 4.222
Ga 6.343 2.135 5.671
Ga 6.343 2.135 9.168
Ga 1.313 -2.135 0.725
Ga 2.591 0.000 5.503
Ga 5.065 0.000 4.390
Ga 5.065 0.000 0.556
Ga 2.591 0.000 9.337
Ga 3.375 1.362 2.473
Ga 4.280 -1.362 7.420
Ga 3.375 -1.362 2.473
Ga 4.280 1.362 7.420
Ru 3.828 -2.261 0.000
Ru 3.828 2.261 0.000
Ru 3.828 2.261 4.946
Ru 3.828 -2.261 4.946
Ru 0.000 0.000 0.000
Ru 0.000 0.000 4.946
CELL_PARAMETERS angstrom
3.828 -6.514 0.000
3.828 6.514 0.000
0.000 0.000 9.893
! **Total DFT energy (no corrections)**: -5.1536 eV per atom
! **Energy of formation**: -538 meV per atom
! **Symmetry**: No. 63

=====

[11]
! Nd9Ga5Se21, optimized geometry, DFT GGA-PBE; values from VASP
&SYSTEM
  ibrav = 0, nat = 70, ntyp = 3
/
ATOMIC_SPECIES
Nd 144.24 Nd.upf
Ga 69.72 Ga.upf
Se 78.96 Se.upf
ATOMIC_POSITIONS angstrom
Nd 6.762 7.009 9.050
Nd 5.405 -2.135 0.988
Nd 10.177 -2.107 4.980
Nd 8.736 3.403 6.700
Nd 5.370 -5.757 10.714
Nd 3.982 3.416 2.688
Nd 1.608 -1.280 5.525
Nd 6.394 -1.296 9.499
Nd 13.161 -1.253 1.404
Nd 4.284 2.125 7.089
Nd 9.177 2.131 11.225
Nd 7.678 -7.025 3.059
Nd 10.610 -3.420 9.513
Nd 9.097 5.748 1.363
Nd 5.689 -3.389 5.409
Nd 1.288 1.277 10.694
Nd 8.052 1.264 2.587
Nd 12.979 1.289 6.683
Ga 9.034 -3.048 0.672
Ga 5.643 6.098 4.725
Ga 2.255 -3.051 8.773
Ga 8.066 -6.086 6.746
Ga 4.680 3.041 10.791
Ga 11.445 3.046 2.707
Ga 12.381 0.000 10.362
Ga 2.254 0.000 1.886
Ga 9.508 0.000 7.957
Ga 5.123 0.000 4.288
Se 7.197 -1.438 3.684
Se 12.131 -1.313 7.934
Se 0.652 -1.363 11.968
Se 9.843 -6.905 0.987
Se 6.269 2.272 4.792
Se 11.223 2.129 9.019
Se 9.764 -0.817 10.762
Se 8.327 8.268 2.797
Se 4.671 -0.835 6.702
Se 2.695 1.320 4.465
Se 7.534 1.363 8.658
Se 14.090 1.437 0.362
Se 8.514 -2.244 7.488
Se 4.853 6.873 11.399
Se 3.593 -2.127 3.392
Se 6.450 -8.310 9.490
Se 5.060 0.807 1.640
Se 10.029 0.881 5.677
Se 8.087 -0.837 0.257
Se 12.919 -0.843 4.352
Se 1.235 -0.858 8.450
Se 7.187 -4.496 1.338
Se 3.746 4.742 5.445
Se 8.619 4.712 9.490
Se 7.682 -3.868 10.611
Se 6.233 5.354 2.477
Se 2.815 -3.906 6.556
Se 7.557 -8.275 5.813
Se 4.142 0.840 9.889
Se 10.887 0.826 1.867
Se 8.416 -4.686 4.781
Se 5.080 4.398 8.806
Se 11.779 4.477 0.769
Se 5.998 -5.224 7.709
Se 2.580 3.797 11.760
Se 9.351 3.846 3.665
Se 10.859 -3.023 2.208
Se 7.460 6.080 6.270
Se 4.100 -3.058 10.285
Se 5.069 -6.077 4.213
Se 1.670 3.019 8.274
Se 8.425 3.058 0.203
CELL_PARAMETERS angstrom
8.227 -9.146 0.000
8.227 9.146 0.000
-1.939 0.000 12.148
! **Total DFT energy (no corrections)**: -5.1573 eV per atom
! **Energy of formation**: -1684 meV per atom
! **Symmetry**: No. 146

=====

[12]
! Nd3Ga2Si4, optimized geometry, DFT GGA-PBE; values from VASP
&SYSTEM
  ibrav = 0, nat = 18, ntyp = 3
/
ATOMIC_SPECIES
Nd 144.24 Nd.upf
Ga 69.72 Ga.upf
Si 28.09 Si.upf
ATOMIC_POSITIONS angstrom
Nd -4.159 -1.066 -5.306
Nd -2.079 1.066 -12.381
Nd -4.159 -1.066 -19.443
Nd -2.079 -1.066 -1.882
Nd -4.159 -3.199 -8.963
Nd -2.079 -1.066 -16.050
Ga -2.079 -3.199 -6.551
Ga -4.159 -1.066 -13.658
Ga -2.079 1.066 -20.752
Ga -4.159 -3.199 -0.586
Si -2.079 -1.066 -7.728
Si -4.159 1.066 -14.829
Si -2.079 -3.199 -4.153
Si -4.159 -1.066 -11.248
Si -2.079 1.066 -18.357
Si -4.159 -3.199 -2.988
Si -2.079 -1.066 -10.084
Si -4.159 1.066 -17.174
CELL_PARAMETERS angstrom
0.000 -4.266 0.000
-4.159 0.000 0.000
-2.079 2.133 -21.348
! **Total DFT energy (no corrections)**: -5.3711 eV per atom
! **Energy of formation**: -666 meV per atom
! **Symmetry**: No. 44

=====

[13]
! Nd3Ga4Si2, optimized geometry, DFT GGA-PBE; values from VASP
&SYSTEM
  ibrav = 0, nat = 18, ntyp = 3
/
ATOMIC_SPECIES
Nd 144.24 Nd.upf
Ga 69.72 Ga.upf
Si 28.09 Si.upf
ATOMIC_POSITIONS angstrom
Nd -4.614 -2.689 1.651
Nd -5.999 3.487 6.319
Nd -11.179 5.120 11.964
Nd -4.352 -0.230 4.959
Nd -9.542 1.414 10.620
Nd -10.938 7.603 15.304
Ga -7.331 0.543 5.919
Ga -8.772 3.268 13.129
Ga -3.247 0.214 1.996
Ga -8.431 1.852 7.648
Ga -9.875 4.579 14.861
Ga -6.756 1.619 3.790
Ga -8.199 4.344 11.001
Ga -13.384 5.984 16.655
Si -5.671 0.327 2.085
Si -7.118 3.059 9.303
Si -12.297 4.692 14.947
Si -2.159 -1.080 0.287
CELL_PARAMETERS angstrom
-3.742 -1.088 -1.559
-0.067 -3.437 2.560
-11.731 9.426 15.936
! **Total DFT energy (no corrections)**: -4.8423 eV per atom
! **Energy of formation**: -686 meV per atom
! **Symmetry**: No. 44